A plane-wave DFT calculation with PBE was carried out for a relaxed Ce2Ni5B4 crystal.

Output
Total magnetic moment = 0.02 μB per formula unit
E_tot = -6.62 eV/atom

Lattice parameters (Å, degrees): 9.7035 5.0897 6.6564 90.00 125.18 90.00
Last column: nearest neighbours and their distance in Å.
Space group C2/m (No. 12)
Inequivalent atoms, fractional coordinates:
Ce  0.2292  0.0000  0.1530 [4 per cell]  6 B 2.85-3.14, 8 Ni 2.90-3.14
Ni  0.0000  0.5000  0.0000 [2 per cell]  2 B 2.03
Ni  0.0746  0.2450  0.3700 [8 per cell]  4 B 2.03-2.19
B  0.0997  0.0000  0.6446 [4 per cell]  2 B 1.67-1.78
B  0.2215  0.5000  0.3381 [4 per cell]  1 B 1.67

---

A plane-wave DFT calculation with PBE was carried out for a relaxed SrU2I2O13 crystal.

Output
Total magnetic moment = 2.00 μB per formula unit
E_tot = -6.84 eV/atom
Corrected total energy (MP2020 scheme) = -7.3332 eV/atom

Lattice parameters (Å, degrees): 7.9185 6.9636 21.8015 90.00 99.26 90.00
Last column: nearest neighbours and their distance in Å.
Space group P2_1/c (No. 14)
Inequivalent atoms, fractional coordinates:
Sr  0.1342  0.1266  0.1315 [4 per cell]  8 O 2.58-2.71
U  0.3884  0.6765  0.8744 [4 per cell]  2 O 1.85-1.87
U  0.4738  0.1962  0.7797 [4 per cell]  2 O 1.86-1.87
I  0.1645  0.6802  0.0289 [4 per cell]  3 O 1.84-1.85
I  0.2985  0.1752  0.9496 [4 per cell]  3 O 1.81-1.86
O  0.0258  0.0154  0.2353 [4 per cell]  1 Sr 2.66, 3 O 2.74-2.90
O  0.0294  0.1820  0.5302 [4 per cell]  1 I 1.84
O  0.0836  0.1426  0.9077 [4 per cell]  1 I 1.81
O  0.1547  0.7114  0.8517 [4 per cell]  1 U 1.85
O  0.2183  0.5628  0.5336 [4 per cell]  1 I 1.84
O  0.2547  0.1912  0.7323 [4 per cell]  1 U 1.87
O  0.3092  0.6956  0.6726 [4 per cell]  1 U 1.86
O  0.3160  0.5892  0.9795 [4 per cell]  1 I 1.85
O  0.3765  0.1572  0.5964 [4 per cell]  1 U 1.87
O  0.3832  0.1852  0.3883 [4 per cell]  1 I 1.86
O  0.4090  0.5446  0.4321 [4 per cell]  1 I 1.83
O  0.4273  0.5130  0.7919 [4 per cell]  3 U 2.19-2.26
O  0.4485  0.6157  0.3040 [4 per cell]  3 U 2.22-2.40

---

A plane-wave DFT calculation with PBE was carried out for a relaxed Gd3BiO3 crystal.

Output
E_tot = -11.46 eV/atom
Corrected total energy (MP2020 scheme) = -11.7548 eV/atom

Lattice parameters (Å, degrees): 13.5229 3.9211 12.0859 90.00 118.51 90.00
Last column: nearest neighbours and their distance in Å.
Space group C2/m (No. 12)
Inequivalent atoms, fractional coordinates:
Gd  0.1226  0.0000  0.4400 [4 per cell]  3 O 2.28-2.30
Gd  0.1286  0.0000  0.9038 [4 per cell]  4 O 2.26-2.49
Gd  0.1539  0.5000  0.2047 [4 per cell]  4 O 2.25-2.35
Bi  0.1173  0.5000  0.6783 [4 per cell]  8 Gd 3.30-3.51
O  0.0616  0.0000  0.1933 [4 per cell]  3 Gd 2.26-2.29
O  0.1645  0.5000  0.0163 [4 per cell]  4 Gd 2.30-2.49
O  0.1915  0.5000  0.4072 [4 per cell]  4 Gd 2.25-2.30

---

Number 1: formation energy -0.48 eV/atom. Number 2: formation energy -2.24 eV/atom. Number 3: formation energy -3.05 eV/atom.